i.
{"formula": "Yb3Ti", "functional": "meta-GGA r2SCAN", "state": "optimized geometry", "cell": [[4.791, 0.000, 0.000], [0.000, 4.791, 0.000], [0.000, 0.000, 9.315]], "species": ["Yb", "Yb", "Yb", "Yb", "Yb", "Yb", "Ti", "Ti"], "frac_coords": [[0.000, 0.000, 0.000], [0.000, 0.500, 0.250], [0.000, 0.500, 0.750], [0.500, 0.000, 0.250], [0.500, 0.000, 0.750], [0.500, 0.500, 0.500], [0.000, 0.000, 0.500], [0.500, 0.500, 0.000]], "magmom_total_mub_per_fu": 2.1, "spacegroup": "No. 139"}

ii.
{"formula": "Yb3Ti", "functional": "meta-GGA r2SCAN", "state": "optimized geometry", "cell": [[4.749, 0.000, 0.000], [0.000, 4.749, 0.000], [0.000, 0.000, 4.749]], "species": ["Yb", "Yb", "Yb", "Ti"], "frac_coords": [[0.000, 0.000, 0.500], [0.000, 0.500, 0.000], [0.500, 0.000, 0.000], [0.500, 0.500, 0.500]], "magmom_total_mub_per_fu": 2.4, "spacegroup": "No. 221"}

The relative energies come out as i 0.000; ii 0.006, with values in eV/atom.

i.
{"formula": "V4O3F9", "functional": "meta-GGA r2SCAN", "state": "optimized geometry", "cell": [[5.073, 0.000, 0.000], [2.529, 4.631, 0.000], [2.429, -1.020, 16.823]], "species": ["V", "V", "V", "V", "V", "V", "V", "V", "O", "O", "O", "O", "O", "O", "F", "F", "F", "F", "F", "F", "F", "F", "F", "F", "F", "F", "F", "F", "F", "F", "F", "F"], "frac_coords": [[0.000, 0.000, 0.000], [0.000, 0.480, 0.502], [0.220, 0.830, 0.626], [0.226, 0.356, 0.126], [0.446, 0.256, 0.748], [0.455, 0.713, 0.251], [0.691, 0.635, 0.877], [0.694, 0.114, 0.380], [0.127, 0.191, 0.044], [0.132, 0.675, 0.544], [0.259, 0.535, 0.692], [0.322, 0.823, 0.916], [0.323, 0.524, 0.210], [0.326, 0.300, 0.419], [0.143, 0.397, 0.840], [0.145, 0.889, 0.342], [0.198, 0.155, 0.568], [0.207, 0.661, 0.062], [0.240, 0.058, 0.193], [0.293, 0.010, 0.717], [0.643, 0.631, 0.588], [0.645, 0.128, 0.086], [0.648, 0.940, 0.289], [0.659, 0.443, 0.787], [0.702, 0.930, 0.811], [0.710, 0.415, 0.315], [0.748, 0.293, 0.936], [0.754, 0.768, 0.435], [0.794, 0.059, 0.664], [0.804, 0.586, 0.166], [0.823, 0.767, 0.961], [0.824, 0.245, 0.465]], "magmom_total_mub_per_fu": 5.0, "spacegroup": "No. 1"}

ii.
{"formula": "V4O3F9", "functional": "meta-GGA r2SCAN", "state": "optimized geometry", "cell": [[4.599, -2.568, 0.000], [4.599, 2.568, 0.000], [-2.559, 0.000, 8.281]], "species": ["V", "V", "V", "V", "O", "O", "O", "F", "F", "F", "F", "F", "F", "F", "F", "F"], "frac_coords": [[0.120, 0.120, 0.379], [0.381, 0.351, 0.134], [0.649, 0.619, 0.866], [0.880, 0.880, 0.621], [0.340, 0.172, 0.251], [0.828, 0.660, 0.749], [0.932, 0.068, 0.500], [0.307, 0.665, 0.700], [0.335, 0.693, 0.300], [0.422, 0.578, 0.000], [0.430, 0.050, 0.944], [0.449, 0.069, 0.557], [0.813, 0.177, 0.190], [0.823, 0.187, 0.810], [0.931, 0.551, 0.443], [0.950, 0.570, 0.056]], "magmom_total_mub_per_fu": 5.0, "spacegroup": "No. 5"}

The relative energies come out as i 0.000; ii 0.021, with values in eV/atom.

i.
{"formula": "Ba2SrI6", "functional": "meta-GGA r2SCAN", "state": "optimized geometry", "cell": [[7.856, 0.000, 0.000], [0.000, 9.152, 0.000], [-7.603, 0.000, 11.454]], "species": ["Ba", "Ba", "Ba", "Ba", "Sr", "Sr", "I", "I", "I", "I", "I", "I", "I", "I", "I", "I", "I", "I"], "frac_coords": [[0.211, 0.112, 0.253], [0.211, 0.388, 0.753], [0.789, 0.612, 0.247], [0.789, 0.888, 0.747], [0.500, 0.000, 0.000], [0.500, 0.500, 0.500], [0.090, 0.176, 0.933], [0.090, 0.324, 0.433], [0.275, 0.683, 0.940], [0.275, 0.817, 0.440], [0.369, 0.040, 0.734], [0.369, 0.460, 0.234], [0.631, 0.540, 0.766], [0.631, 0.960, 0.266], [0.725, 0.183, 0.560], [0.725, 0.317, 0.060], [0.910, 0.676, 0.567], [0.910, 0.824, 0.067]], "magmom_total_mub_per_fu": 0.0, "spacegroup": "No. 14"}

ii.
{"formula": "Ba2SrI6", "functional": "meta-GGA r2SCAN", "state": "optimized geometry", "cell": [[8.598, 0.000, 0.000], [0.000, 8.296, 0.000], [-1.224, 0.000, 25.066]], "species": ["Ba", "Ba", "Ba", "Ba", "Ba", "Ba", "Ba", "Ba", "Sr", "Sr", "Sr", "Sr", "I", "I", "I", "I", "I", "I", "I", "I", "I", "I", "I", "I", "I", "I", "I", "I", "I", "I", "I", "I", "I", "I", "I", "I"], "frac_coords": [[0.173, 0.020, 0.092], [0.173, 0.480, 0.592], [0.270, 0.055, 0.761], [0.270, 0.445, 0.261], [0.730, 0.555, 0.739], [0.730, 0.945, 0.239], [0.827, 0.520, 0.408], [0.827, 0.980, 0.908], [0.342, 0.535, 0.911], [0.342, 0.965, 0.411], [0.658, 0.035, 0.589], [0.658, 0.465, 0.089], [0.032, 0.749, 0.313], [0.032, 0.751, 0.813], [0.087, 0.235, 0.360], [0.087, 0.265, 0.860], [0.137, 0.709, 0.478], [0.137, 0.791, 0.978], [0.367, 0.202, 0.515], [0.367, 0.298, 0.015], [0.424, 0.713, 0.160], [0.424, 0.787, 0.660], [0.475, 0.212, 0.172], [0.475, 0.288, 0.672], [0.525, 0.712, 0.328], [0.525, 0.788, 0.828], [0.576, 0.213, 0.340], [0.576, 0.287, 0.840], [0.633, 0.702, 0.985], [0.633, 0.798, 0.485], [0.863, 0.209, 0.022], [0.863, 0.291, 0.522], [0.913, 0.735, 0.140], [0.913, 0.765, 0.640], [0.968, 0.249, 0.187], [0.968, 0.251, 0.687]], "magmom_total_mub_per_fu": 0.0, "spacegroup": "No. 14"}

The relative energies come out as i 0.000; ii 0.012, with values in eV/atom.

i.
{"formula": "Sn", "functional": "meta-GGA r2SCAN", "state": "optimized geometry", "cell": [[4.783, 0.000, 0.000], [0.000, 4.783, 0.000], [0.000, 0.000, 4.783]], "species": ["Sn", "Sn", "Sn", "Sn"], "frac_coords": [[0.000, 0.000, 0.000], [0.000, 0.500, 0.500], [0.500, 0.000, 0.500], [0.500, 0.500, 0.000]], "magmom_total_mub_per_fu": 0.0, "spacegroup": "No. 225"}

ii.
{"formula": "Sn", "functional": "meta-GGA r2SCAN", "state": "optimized geometry", "cell": [[3.789, 0.000, 0.000], [0.000, 3.789, 0.000], [0.000, 0.000, 3.789]], "species": ["Sn", "Sn"], "frac_coords": [[0.000, 0.000, 0.000], [0.500, 0.500, 0.500]], "magmom_total_mub_per_fu": 0.0, "spacegroup": "No. 229"}

The relative energies come out as i 0.000; ii 0.012, with values in eV/atom.

i.
{"formula": "LaMg", "functional": "meta-GGA r2SCAN", "state": "optimized geometry", "cell": [[3.978, 0.000, 0.000], [0.000, 3.978, 0.000], [0.000, 0.000, 3.978]], "species": ["La", "Mg"], "frac_coords": [[0.000, 0.000, 0.000], [0.500, 0.500, 0.500]], "magmom_total_mub_per_fu": 0.0, "spacegroup": "No. 221"}

ii.
{"formula": "LaMg", "functional": "meta-GGA r2SCAN", "state": "optimized geometry", "cell": [[5.615, 0.000, 0.000], [0.000, 3.801, 0.000], [0.000, 0.000, 5.789]], "species": ["La", "La", "Mg", "Mg"], "frac_coords": [[0.250, 0.000, 0.207], [0.750, 0.000, 0.793], [0.250, 0.500, 0.693], [0.750, 0.500, 0.307]], "magmom_total_mub_per_fu": 0.0, "spacegroup": "No. 51"}

The relative energies come out as i 0.006; ii 0.000, with values in eV/atom.

i.
{"formula": "LiF", "functional": "meta-GGA r2SCAN", "state": "optimized geometry", "cell": [[4.083, 0.000, 0.000], [0.000, 4.083, 0.000], [0.000, 0.000, 4.083]], "species": ["Li", "Li", "Li", "Li", "F", "F", "F", "F"], "frac_coords": [[0.000, 0.000, 0.000], [0.000, 0.500, 0.500], [0.500, 0.000, 0.500], [0.500, 0.500, 0.000], [0.000, 0.000, 0.500], [0.000, 0.500, 0.000], [0.500, 0.000, 0.000], [0.500, 0.500, 0.500]], "magmom_total_mub_per_fu": 0.0, "spacegroup": "No. 225"}

ii.
{"formula": "LiF", "functional": "meta-GGA r2SCAN", "state": "optimized geometry", "cell": [[3.061, 0.000, 0.000], [-1.530, 2.651, 0.000], [0.000, 0.000, 4.807]], "species": ["Li", "Li", "F", "F"], "frac_coords": [[0.333, 0.667, 0.000], [0.667, 0.333, 0.500], [0.333, 0.667, 0.613], [0.667, 0.333, 0.113]], "magmom_total_mub_per_fu": 0.0, "spacegroup": "No. 186"}

The relative energies come out as i 0.000; ii 0.024, with values in eV/atom.

i.
{"formula": "MgPb2", "functional": "meta-GGA r2SCAN", "state": "optimized geometry", "cell": [[12.969, 0.000, 0.000], [0.000, 3.490, 0.000], [-2.264, 0.000, 7.410]], "species": ["Mg", "Mg", "Mg", "Mg", "Pb", "Pb", "Pb", "Pb", "Pb", "Pb", "Pb", "Pb"], "frac_coords": [[0.146, 0.000, 0.033], [0.354, 0.500, 0.967], [0.646, 0.500, 0.033], [0.854, 0.000, 0.967], [0.026, 0.500, 0.268], [0.194, 0.000, 0.651], [0.306, 0.500, 0.349], [0.474, 0.000, 0.732], [0.526, 0.000, 0.268], [0.694, 0.500, 0.651], [0.806, 0.000, 0.349], [0.974, 0.500, 0.732]], "magmom_total_mub_per_fu": 0.0, "spacegroup": "No. 12"}

ii.
{"formula": "MgPb2", "functional": "meta-GGA r2SCAN", "state": "optimized geometry", "cell": [[3.530, 0.000, 0.000], [-1.765, 3.057, 0.000], [0.000, 0.000, 15.690]], "species": ["Mg", "Mg", "Pb", "Pb", "Pb", "Pb"], "frac_coords": [[0.333, 0.667, 0.250], [0.667, 0.333, 0.750], [0.333, 0.667, 0.593], [0.333, 0.667, 0.907], [0.667, 0.333, 0.093], [0.667, 0.333, 0.407]], "magmom_total_mub_per_fu": 0.0, "spacegroup": "No. 194"}

The relative energies come out as i 0.007; ii 0.000, with values in eV/atom.

i.
{"formula": "Li9Mn2Co5O16", "functional": "meta-GGA r2SCAN", "state": "optimized geometry", "cell": [[2.813, 0.000, 0.000], [-0.010, 9.526, 0.000], [-1.402, -3.012, 9.623]], "species": ["Li", "Li", "Li", "Li", "Li", "Li", "Li", "Li", "Li", "Mn", "Mn", "Co", "Co", "Co", "Co", "Co", "O", "O", "O", "O", "O", "O", "O", "O", "O", "O", "O", "O", "O", "O", "O", "O"], "frac_coords": [[0.000, 0.000, 0.000], [0.062, 0.293, 0.115], [0.129, 0.614, 0.242], [0.252, 0.227, 0.498], [0.376, 0.877, 0.756], [0.508, 0.470, 0.005], [0.619, 0.112, 0.230], [0.752, 0.752, 0.497], [0.881, 0.352, 0.754], [0.318, 0.552, 0.628], [0.687, 0.425, 0.364], [0.188, 0.928, 0.373], [0.442, 0.177, 0.878], [0.564, 0.802, 0.123], [0.814, 0.052, 0.624], [0.941, 0.676, 0.876], [0.031, 0.660, 0.058], [0.096, 0.942, 0.188], [0.166, 0.289, 0.322], [0.227, 0.572, 0.443], [0.281, 0.909, 0.558], [0.346, 0.192, 0.686], [0.407, 0.533, 0.808], [0.471, 0.813, 0.937], [0.527, 0.144, 0.050], [0.608, 0.463, 0.205], [0.656, 0.787, 0.309], [0.721, 0.069, 0.438], [0.786, 0.411, 0.565], [0.848, 0.696, 0.688], [0.905, 0.033, 0.807], [0.968, 0.318, 0.930]], "magmom_total_mub_per_fu": 6.0, "spacegroup": "No. 1"}

ii.
{"formula": "Li9Mn2Co5O16", "functional": "meta-GGA r2SCAN", "state": "optimized geometry", "cell": [[6.338, 0.000, 0.000], [1.977, 6.024, 0.000], [3.099, 0.937, 6.703]], "species": ["Li", "Li", "Li", "Li", "Li", "Li", "Li", "Li", "Li", "Mn", "Mn", "Co", "Co", "Co", "Co", "Co", "O", "O", "O", "O", "O", "O", "O", "O", "O", "O", "O", "O", "O", "O", "O", "O"], "frac_coords": [[0.000, 0.000, 0.000], [0.061, 0.439, 0.817], [0.173, 0.320, 0.453], [0.302, 0.183, 0.060], [0.406, 0.065, 0.713], [0.561, 0.936, 0.315], [0.685, 0.826, 0.944], [0.804, 0.691, 0.573], [0.935, 0.584, 0.183], [0.619, 0.378, 0.128], [0.870, 0.126, 0.381], [0.116, 0.880, 0.635], [0.242, 0.757, 0.255], [0.364, 0.632, 0.883], [0.491, 0.505, 0.508], [0.743, 0.253, 0.759], [0.045, 0.724, 0.896], [0.071, 0.154, 0.722], [0.168, 0.613, 0.527], [0.193, 0.026, 0.357], [0.289, 0.489, 0.156], [0.337, 0.890, 0.984], [0.416, 0.362, 0.777], [0.442, 0.769, 0.611], [0.541, 0.234, 0.402], [0.570, 0.648, 0.234], [0.645, 0.124, 0.035], [0.698, 0.520, 0.861], [0.787, 0.989, 0.655], [0.820, 0.395, 0.486], [0.907, 0.859, 0.297], [0.937, 0.287, 0.120]], "magmom_total_mub_per_fu": 6.0, "spacegroup": "No. 1"}

The relative energies come out as i 0.033; ii 0.000, with values in eV/atom.

i.
{"formula": "CoAsS", "functional": "meta-GGA r2SCAN", "state": "optimized geometry", "cell": [[5.558, 0.000, 0.000], [0.000, 5.558, 0.000], [0.000, 0.000, 5.558]], "species": ["Co", "Co", "Co", "Co", "As", "As", "As", "As", "S", "S", "S", "S"], "frac_coords": [[0.007, 0.007, 0.007], [0.493, 0.993, 0.507], [0.507, 0.493, 0.993], [0.993, 0.507, 0.493], [0.120, 0.620, 0.880], [0.380, 0.380, 0.380], [0.620, 0.880, 0.120], [0.880, 0.120, 0.620], [0.117, 0.883, 0.383], [0.383, 0.117, 0.883], [0.617, 0.617, 0.617], [0.883, 0.383, 0.117]], "magmom_total_mub_per_fu": 0.0, "spacegroup": "No. 198"}

ii.
{"formula": "CoAsS", "functional": "meta-GGA r2SCAN", "state": "optimized geometry", "cell": [[3.467, 0.000, 0.000], [0.000, 4.579, 0.000], [0.000, 0.000, 5.545]], "species": ["Co", "Co", "As", "As", "S", "S"], "frac_coords": [[0.000, 0.239, 0.000], [0.500, 0.761, 0.500], [0.000, 0.459, 0.376], [0.500, 0.541, 0.876], [0.000, 0.051, 0.626], [0.500, 0.949, 0.126]], "magmom_total_mub_per_fu": 0.0, "spacegroup": "No. 31"}

The relative energies come out as i 0.012; ii 0.000, with values in eV/atom.

i.
{"formula": "Gd", "functional": "meta-GGA r2SCAN", "state": "optimized geometry", "cell": [[3.650, 0.000, 0.000], [-1.825, 3.161, 0.000], [0.000, 0.000, 26.707]], "species": ["Gd", "Gd", "Gd", "Gd", "Gd", "Gd", "Gd", "Gd", "Gd"], "frac_coords": [[0.000, 0.000, 0.000], [0.000, 0.000, 0.223], [0.000, 0.000, 0.777], [0.333, 0.667, 0.444], [0.333, 0.667, 0.667], [0.333, 0.667, 0.890], [0.667, 0.333, 0.110], [0.667, 0.333, 0.333], [0.667, 0.333, 0.556]], "magmom_total_mub_per_fu": 8.0, "spacegroup": "No. 166"}

ii.
{"formula": "Gd", "functional": "meta-GGA r2SCAN", "state": "optimized geometry", "cell": [[4.069, 0.000, 0.000], [0.000, 4.069, 0.000], [0.000, 0.000, 4.069]], "species": ["Gd", "Gd"], "frac_coords": [[0.000, 0.000, 0.000], [0.500, 0.500, 0.500]], "magmom_total_mub_per_fu": 8.0, "spacegroup": "No. 229"}

The relative energies come out as i 0.000; ii 0.121, with values in eV/atom.

i.
{"formula": "Pa", "functional": "meta-GGA r2SCAN", "state": "optimized geometry", "cell": [[3.170, 0.000, 0.000], [-1.585, 2.746, 0.000], [0.000, 0.000, 5.687]], "species": ["Pa", "Pa"], "frac_coords": [[0.333, 0.667, 0.250], [0.667, 0.333, 0.750]], "magmom_total_mub_per_fu": 0.0, "spacegroup": "No. 194"}

ii.
{"formula": "Pa", "functional": "meta-GGA r2SCAN", "state": "optimized geometry", "cell": [[4.655, 0.000, 0.000], [0.000, 4.655, 0.000], [0.000, 0.000, 4.655]], "species": ["Pa", "Pa", "Pa", "Pa"], "frac_coords": [[0.000, 0.000, 0.000], [0.000, 0.500, 0.500], [0.500, 0.000, 0.500], [0.500, 0.500, 0.000]], "magmom_total_mub_per_fu": 0.0, "spacegroup": "No. 225"}

The relative energies come out as i 0.000; ii 0.021, with values in eV/atom.